Record 1
DFT (PBE) results for K3Be2H7C3O13 after structural relaxation.

Calculated values
* crystal system: triclinic
* volume: 1324.3 Å³ per cell
* ΔH_f (0 K): -44.24 kcal/mol of atoms

Structure (extended XYZ):
```
112
Lattice="9.584 0.000 0.000 4.118 8.774 0.000 3.162 1.913 15.748" Properties=species:S:1:pos:R:3 pbc="T T T"
K 2.551 3.254 6.739
K 4.273 6.947 1.401
K 6.831 5.046 15.546
K 5.388 3.374 10.040
K 7.839 8.611 6.776
K 7.997 7.839 2.720
K 8.867 2.848 13.028
K 9.025 2.076 8.972
K 11.476 7.313 5.709
K 10.033 5.641 0.202
K 12.591 3.740 14.347
K 14.312 7.433 9.009
Be 7.964 9.395 12.223
Be 8.493 7.771 10.135
Be 9.057 6.936 12.617
Be 10.496 8.931 11.530
Be 6.367 1.756 4.218
Be 7.807 3.751 3.131
Be 8.371 2.916 5.614
Be 8.900 1.292 3.525
H 2.912 4.712 3.343
H 2.192 1.649 3.855
H 5.164 7.628 4.428
H 4.480 5.808 5.551
H 1.690 1.016 1.360
H 4.880 5.430 6.984
H 5.910 5.988 12.136
H 3.706 2.001 4.132
H 2.393 0.383 0.100
H 6.184 6.370 4.224
H 7.087 5.667 8.638
H 6.876 4.625 7.448
H 6.829 5.186 1.093
H 10.154 7.694 15.396
H 6.709 2.992 0.353
H 10.035 5.501 14.656
H 9.987 6.062 8.300
H 9.777 5.019 7.110
H 10.680 4.317 11.524
H 14.471 10.304 15.648
H 13.158 8.686 11.616
H 10.953 4.698 3.612
H 11.983 5.257 8.765
H 15.174 9.671 14.388
H 12.384 4.879 10.198
H 11.700 3.059 11.320
H 14.672 9.038 11.894
H 13.952 5.974 12.405
C 7.007 9.948 9.864
C 6.846 7.749 13.847
C 5.767 1.925 13.402
C 5.264 3.621 2.729
C 6.069 2.214 6.684
C 8.301 5.243 10.793
C 8.563 5.444 4.955
C 10.795 8.473 9.064
C 11.600 7.065 13.019
C 11.097 8.762 2.347
C 10.018 2.937 1.901
C 9.857 0.739 5.884
O 5.076 8.763 6.624
O 6.097 7.672 14.867
O 4.093 5.488 6.394
O 6.663 8.698 12.950
O 5.094 5.510 11.910
O 3.308 1.609 11.047
O 5.323 6.768 3.967
O 2.953 1.426 4.437
O 2.085 0.181 1.026
O 8.630 10.332 13.393
O 7.328 8.725 9.507
O 4.248 4.186 2.240
O 7.806 6.877 13.665
O 6.558 5.492 7.814
O 6.207 2.728 14.291
O 5.167 2.307 7.557
O 5.191 2.844 3.777
O 7.805 6.265 10.128
O 8.999 8.247 11.636
O 10.690 10.245 12.474
O 7.083 6.008 0.598
O 6.462 3.783 2.173
O 5.992 1.311 5.724
O 8.004 4.053 10.501
O 7.746 5.184 3.951
O 7.127 3.011 6.695
O 9.737 7.675 9.054
O 9.117 5.503 11.798
O 8.860 6.634 5.247
O 10.871 9.375 10.025
O 10.402 6.904 13.575
O 9.780 4.679 15.150
O 6.173 0.442 3.274
O 7.865 2.440 4.112
O 9.058 4.422 5.620
O 11.673 7.843 11.972
O 11.697 8.380 8.191
O 10.657 7.959 1.458
O 10.305 5.195 7.934
O 9.058 3.810 2.084
O 12.615 6.501 13.509
O 9.535 1.962 6.241
O 8.234 0.355 2.355
O 14.779 10.506 14.722
O 13.911 9.261 11.311
O 11.540 3.919 11.782
O 13.556 9.078 4.701
O 11.770 5.177 3.839
O 10.201 1.989 2.799
O 12.771 5.199 9.354
O 10.767 3.015 0.882
O 11.788 1.924 9.124
```

Record 2
DFT (PBE) results for Na3CuSiCO7 after structural relaxation.

Calculated values
* crystal system: monoclinic
* volume: 306.9 Å³ per cell
* ΔH_f (0 K): -47.82 kcal/mol of atoms

Structure (extended XYZ):
```
26
Lattice="5.153 0.000 0.000 0.000 6.546 0.000 -0.161 0.000 9.099" Properties=species:S:1:pos:R:3 pbc="T T T"
Na 1.198 1.636 0.818
Na 1.182 3.331 6.670
Na 1.182 6.488 6.670
Na 3.811 0.058 2.429
Na 3.811 3.215 2.429
Na 3.794 4.909 8.281
Cu 1.029 4.909 3.177
Cu 3.963 1.636 5.923
Si 1.441 1.636 3.854
Si 3.551 4.909 5.245
C 1.391 4.909 0.544
C 3.602 1.636 8.555
O 0.226 4.909 1.119
O 0.677 1.636 5.296
O 1.084 0.356 2.869
O 1.084 2.917 2.869
O 1.320 4.909 8.359
O 1.924 4.909 4.929
O 2.451 4.909 1.287
O 2.541 1.636 7.812
O 3.069 1.636 4.170
O 3.673 1.636 0.740
O 3.909 3.629 6.230
O 3.909 6.190 6.230
O 4.316 4.909 3.803
O 4.766 1.636 7.980
```

Record 3
DFT (PBE) results for Rb3HoF6 after structural relaxation.

Calculated values
* crystal system: tetragonal
* volume: 246.8 Å³ per cell
* ΔH_f (0 K): -80.84 kcal/mol of atoms

Structure (extended XYZ):
```
10
Lattice="-3.590 3.590 4.787 3.590 -3.590 4.787 3.590 3.590 -4.787" Properties=species:S:1:pos:R:3 pbc="T T T"
Rb 0.000 0.000 0.000
Rb 3.590 0.000 2.394
Rb 0.000 3.590 2.394
Ho 0.000 0.000 4.787
F 3.590 1.422 0.000
F 0.000 0.000 2.590
F 1.422 3.590 0.000
F 2.168 0.000 4.787
F 0.000 0.000 6.984
F 0.000 2.168 4.787
```